A plane-wave DFT calculation with GGA+U was carried out for a relaxed structure of CaFeBiO5.

Cell: 5.5939 15.3974 11.3838 Å, 90.00 90.00 90.00°
Last column: nearest neighbours and their distance in Å.
Sites, in units of the cell vectors:
Ca: 0.0062 0.0506 0.1405  7 O 2.38-2.52
Ca: 0.0062 0.4494 0.6405  7 O 2.38-2.52
Ca: 0.4938 0.5506 0.1405  7 O 2.38-2.52
Ca: 0.4938 0.9494 0.6405  7 O 2.38-2.52
Ca: 0.5062 0.0506 0.3595  7 O 2.38-2.52
Ca: 0.5062 0.4494 0.8595  7 O 2.38-2.52
Ca: 0.9938 0.5506 0.3595  7 O 2.38-2.52
Ca: 0.9938 0.9494 0.8595  7 O 2.38-2.52
Fe: 0.0226 0.0971 0.5973  4 O 1.74-1.83
Fe: 0.0226 0.4029 0.0973  4 O 1.74-1.83
Fe: 0.4774 0.5971 0.5973  4 O 1.74-1.83
Fe: 0.4774 0.9029 0.0973  4 O 1.74-1.83
Fe: 0.5226 0.0971 0.9027  4 O 1.74-1.83
Fe: 0.5226 0.4029 0.4027  4 O 1.74-1.83
Fe: 0.9774 0.5971 0.9027  4 O 1.74-1.83
Fe: 0.9774 0.9029 0.4027  4 O 1.74-1.83
Bi: 0.0511 0.7314 0.1549  5 O 2.14-2.35
Bi: 0.0511 0.7686 0.6549  5 O 2.14-2.35
Bi: 0.4489 0.2314 0.1549  5 O 2.14-2.35
Bi: 0.4489 0.2686 0.6549  5 O 2.14-2.35
Bi: 0.5511 0.7314 0.3451  5 O 2.14-2.35
Bi: 0.5511 0.7686 0.8451  5 O 2.14-2.35
Bi: 0.9489 0.2314 0.3451  5 O 2.14-2.35
Bi: 0.9489 0.2686 0.8451  5 O 2.14-2.35
O: 0.0803 0.1975 0.6782  1 Fe 1.83
O: 0.0803 0.3025 0.1782  1 Fe 1.83
O: 0.1427 0.5245 0.8180  1 Fe 1.74
O: 0.1427 0.9755 0.3180  1 Fe 1.74
O: 0.1701 0.6273 0.0264  1 Fe 1.83
O: 0.1701 0.8727 0.5264  1 Fe 1.83
O: 0.1897 0.5739 0.5455  1 Fe 1.75
O: 0.1897 0.9261 0.0455  1 Fe 1.75
O: 0.2405 0.1507 0.2687  2 Bi 2.14-2.23, 1 Ca 2.38
O: 0.2405 0.3493 0.7687  2 Bi 2.14-2.23, 1 Ca 2.38
O: 0.2595 0.6507 0.2687  2 Bi 2.14-2.23, 1 Ca 2.38
O: 0.2595 0.8493 0.7687  2 Bi 2.14-2.23, 1 Ca 2.38
O: 0.3103 0.0739 0.5455  1 Fe 1.75
O: 0.3103 0.4261 0.0455  1 Fe 1.75
O: 0.3299 0.1273 0.0264  1 Fe 1.83
O: 0.3299 0.3727 0.5264  1 Fe 1.83
O: 0.3573 0.0245 0.8180  1 Fe 1.74
O: 0.3573 0.4755 0.3180  1 Fe 1.74
O: 0.4197 0.6975 0.6782  1 Fe 1.83
O: 0.4197 0.8025 0.1782  1 Fe 1.83
O: 0.5803 0.1975 0.8218  1 Fe 1.83
O: 0.5803 0.3025 0.3218  1 Fe 1.83
O: 0.6427 0.5245 0.6820  1 Fe 1.74
O: 0.6427 0.9755 0.1820  1 Fe 1.74
O: 0.6701 0.6273 0.4736  1 Fe 1.83
O: 0.6701 0.8727 0.9736  1 Fe 1.83
O: 0.6897 0.5739 0.9545  1 Fe 1.75
O: 0.6897 0.9261 0.4545  1 Fe 1.75
O: 0.7405 0.1507 0.2313  2 Bi 2.14-2.23, 1 Ca 2.38
O: 0.7405 0.3493 0.7313  2 Bi 2.14-2.23, 1 Ca 2.38
O: 0.7595 0.6507 0.2313  2 Bi 2.14-2.23, 1 Ca 2.38
O: 0.7595 0.8493 0.7313  2 Bi 2.14-2.23, 1 Ca 2.38
O: 0.8103 0.0739 0.9545  1 Fe 1.75
O: 0.8103 0.4261 0.4545  1 Fe 1.75
O: 0.8299 0.1273 0.4736  1 Fe 1.83
O: 0.8299 0.3727 0.9736  1 Fe 1.83
O: 0.8573 0.0245 0.6820  1 Fe 1.74
O: 0.8573 0.4755 0.1820  1 Fe 1.74
O: 0.9197 0.6975 0.8218  1 Fe 1.83
O: 0.9197 0.8025 0.3218  1 Fe 1.83

The mass density comes out at 5.215 g/cm3. The distance to the lowest polymorph of the same formula is 0.141 eV per atom. Its energy relative to the elements is -1.80 eV per atom. For the magnetic moment, the calculation gives 3.00 μB/f.u.


A plane-wave DFT calculation with GGA+U was carried out for a relaxed structure of MgV4O10.

Cell: 6.3949 3.6692 7.9613 Å, 90.00 91.47 90.00°
Last column: nearest neighbours and their distance in Å.
Sites, in units of the cell vectors:
Mg: 0.0000 0.0000 0.0000  5 O 2.03-2.16
V: 0.0945 0.5000 0.6722  4 O 1.83-1.93
V: 0.1406 0.0000 0.3629  1 O 1.71
V: 0.5334 0.5000 0.5188  2 O 1.67-1.76
V: 0.5652 0.0000 0.1811  2 O 1.65-1.78
O: 0.0307 0.5000 0.8952  1 V 1.83, 2 Mg 2.03
O: 0.0801 0.0000 0.6155  3 V 1.89-2.06
O: 0.1985 0.5000 0.4202  3 V 1.92-2.13
O: 0.2899 0.0000 0.1447  1 V 1.78
O: 0.3938 0.5000 0.7057  2 V 1.76-1.93
O: 0.4858 0.0000 0.4520  2 V 1.93
O: 0.5882 0.5000 0.2558  3 V 1.93-2.13
O: 0.6654 0.0000 0.9920  1 V 1.65
O: 0.7802 0.5000 0.5912  1 V 1.67
O: 0.9065 0.0000 0.2552  1 V 1.71

The mass density comes out at 3.451 g/cm3. The distance to the lowest polymorph of the same formula is 0.052 eV per atom. Its energy relative to the elements is -2.44 eV per atom. For the magnetic moment, the calculation gives 2.00 μB/f.u.


A plane-wave DFT calculation with GGA+U was carried out for a relaxed structure of NaFe2P2O8.

Cell: 5.1456 8.9546 9.0486 Å, 97.11 104.70 101.56°
Last column: nearest neighbours and their distance in Å.
Sites, in units of the cell vectors:
Na: 0.0791 0.3102 0.3006  3 O 2.27-2.52
Na: 0.9209 0.6898 0.6994  3 O 2.27-2.52
Fe: 0.1834 0.1227 0.8996  3 O 1.94-2.07
Fe: 0.2851 0.7391 0.4007  4 O 1.88-1.94
Fe: 0.7149 0.2609 0.5993  4 O 1.88-1.94
Fe: 0.8166 0.8773 0.1004  3 O 1.94-2.07
P: 0.3216 0.4259 0.7302  4 O 1.50-1.61
P: 0.4115 0.0516 0.2524  4 O 1.52-1.59
P: 0.5885 0.9484 0.7476  4 O 1.52-1.59
P: 0.6784 0.5741 0.2698  4 O 1.50-1.61
O: 0.0711 0.3337 0.5796  1 P 1.61
O: 0.2044 0.1015 0.1227  1 P 1.55
O: 0.2422 0.8858 0.2615  1 P 1.59
O: 0.2913 0.5866 0.7764  1 P 1.50
O: 0.3116 0.9546 0.7763  1 P 1.52
O: 0.3331 0.3226 0.8537  1 P 1.53
O: 0.4089 0.5675 0.3273  1 P 1.59
O: 0.4491 0.1613 0.4078  1 P 1.56
O: 0.5509 0.8387 0.5922  1 P 1.56
O: 0.5911 0.4325 0.6727  1 P 1.59
O: 0.6669 0.6774 0.1463  1 P 1.53
O: 0.6884 0.0454 0.2237  1 P 1.52
O: 0.7087 0.4134 0.2236  1 P 1.50
O: 0.7578 0.1142 0.7385  1 P 1.59
O: 0.7956 0.8985 0.8773  1 P 1.55
O: 0.9289 0.6663 0.4204  1 P 1.61

The mass density comes out at 2.776 g/cm3. Its energy relative to the elements is -2.34 eV per atom. For the magnetic moment, the calculation gives 1.00 μB/f.u.


A plane-wave DFT calculation with GGA+U was carried out for a relaxed structure of Hg2Mo2O7.

Cell: 7.2060 7.3360 8.3691 Å, 64.73 67.20 66.22°
Last column: nearest neighbours and their distance in Å.
Sites, in units of the cell vectors:
Hg: 0.1249 0.3243 0.3795  1 O 2.16
Hg: 0.3180 0.1735 0.6332  1 O 2.14
Hg: 0.6820 0.8265 0.3668  1 O 2.14
Hg: 0.8751 0.6757 0.6205  1 O 2.16
Mo: 0.1958 0.6235 0.8812  3 O 1.74-1.93
Mo: 0.3139 0.8718 0.1320  3 O 1.74-1.92
Mo: 0.6861 0.1282 0.8680  3 O 1.74-1.92
Mo: 0.8042 0.3765 0.1188  3 O 1.74-1.93
O: 0.0333 0.4993 0.8375  1 Mo 1.95, 1 Hg 2.16
O: 0.0974 0.0964 0.1623  1 Mo 1.79
O: 0.2042 0.7878 0.0066  2 Mo 1.92-1.93
O: 0.2714 0.6853 0.3485  1 Mo 1.74
O: 0.3216 0.7452 0.6581  1 Mo 1.74
O: 0.3970 0.3906 0.9490  1 Mo 1.78
O: 0.4681 0.0463 0.8498  1 Mo 1.97, 1 Hg 2.14
O: 0.5319 0.9537 0.1502  1 Mo 1.97, 1 Hg 2.14
O: 0.6030 0.6094 0.0510  1 Mo 1.78
O: 0.6784 0.2548 0.3419  1 Mo 1.74
O: 0.7286 0.3147 0.6515  1 Mo 1.74
O: 0.7958 0.2122 0.9934  2 Mo 1.92-1.93
O: 0.9026 0.9036 0.8377  1 Mo 1.79
O: 0.9667 0.5007 0.1625  1 Mo 1.95, 1 Hg 2.16

The mass density comes out at 6.624 g/cm3. Its energy relative to the elements is -1.56 eV per atom.


A plane-wave DFT calculation with GGA+U was carried out for a relaxed structure of KSrYWO6.

Cell: 5.9305 5.9305 5.9305 Å, 60.00 60.00 60.00°
Last column: nearest neighbours and their distance in Å.
Sites, in units of the cell vectors:
K: 0.0000 0.0000 0.0000  12 O 2.97
Sr: 0.5000 0.5000 0.5000  12 O 2.97
Y: 0.2500 0.2500 0.2500  6 O 2.24
W: 0.7500 0.7500 0.7500  6 O 1.95
O: 0.5172 0.5172 0.9828  1 W 1.95
O: 0.5172 0.9828 0.5172  1 W 1.95
O: 0.5172 0.9828 0.9828  1 W 1.95
O: 0.9828 0.5172 0.5172  1 W 1.95
O: 0.9828 0.5172 0.9828  1 W 1.95
O: 0.9828 0.9828 0.5172  1 W 1.95

The mass density comes out at 5.578 g/cm3. Its energy relative to the elements is -2.94 eV per atom. For the magnetic moment, the calculation gives 0.00 μB/f.u.


A plane-wave DFT calculation with GGA+U was carried out for a relaxed structure of CoH12SO10.

Cell: 6.2104 6.2104 24.7943 Å, 97.21 97.21 73.04°
Last column: nearest neighbours and their distance in Å.
Sites, in units of the cell vectors:
Co: 0.0000 0.0000 0.0000  6 O 2.03-2.15
Co: 0.0000 0.0000 0.5000  6 O 2.03-2.15
Co: 0.0163 0.9837 0.7500  6 O 2.08-2.15
Co: 0.9837 0.0163 0.2500  6 O 2.08-2.15
H: 0.0249 0.6584 0.4202  1 O 0.99
H: 0.0374 0.5517 0.7808  1 O 0.98
H: 0.0535 0.3122 0.6977  1 O 0.99
H: 0.0683 0.3305 0.9485  1 O 0.99
H: 0.0726 0.6727 0.9156  1 O 0.99
H: 0.0770 0.2507 0.8444  1 O 1.00
H: 0.1106 0.7168 0.8292  1 O 0.98
H: 0.1271 0.3147 0.3208  1 O 0.97
H: 0.2106 0.6532 0.2992  1 O 1.01
H: 0.2470 0.2961 0.0028  1 O 0.98
H: 0.2507 0.0770 0.3444  1 O 1.00
H: 0.2700 0.6931 0.5668  1 O 1.00
H: 0.2811 0.6482 0.4427  1 O 0.99
H: 0.2832 0.8894 0.6708  1 O 0.98
H: 0.2961 0.2470 0.5028  1 O 0.98
H: 0.3069 0.7300 0.9332  1 O 1.00
H: 0.3122 0.0535 0.1977  1 O 0.99
H: 0.3147 0.1271 0.8208  1 O 0.97
H: 0.3273 0.9274 0.5844  1 O 0.99
H: 0.3305 0.0683 0.4485  1 O 0.99
H: 0.3416 0.9751 0.0798  1 O 0.99
H: 0.3468 0.7894 0.2008  1 O 1.01
H: 0.3518 0.7189 0.0573  1 O 0.99
H: 0.4483 0.9626 0.7192  1 O 0.98
H: 0.5517 0.0374 0.2808  1 O 0.98
H: 0.6482 0.2811 0.9427  1 O 0.99
H: 0.6532 0.2106 0.7992  1 O 1.01
H: 0.6584 0.0249 0.9202  1 O 0.99
H: 0.6695 0.9317 0.5515  1 O 0.99
H: 0.6727 0.0726 0.4156  1 O 0.99
H: 0.6853 0.8729 0.1792  1 O 0.97
H: 0.6878 0.9465 0.8023  1 O 0.99
H: 0.6931 0.2700 0.0668  1 O 1.00
H: 0.7039 0.7530 0.4972  1 O 0.98
H: 0.7168 0.1106 0.3292  1 O 0.98
H: 0.7189 0.3518 0.5573  1 O 0.99
H: 0.7300 0.3069 0.4332  1 O 1.00
H: 0.7493 0.9230 0.6556  1 O 1.00
H: 0.7530 0.7039 0.9972  1 O 0.98
H: 0.7894 0.3468 0.7008  1 O 1.01
H: 0.8729 0.6853 0.6792  1 O 0.97
H: 0.8894 0.2832 0.1708  1 O 0.98
H: 0.9230 0.7493 0.1556  1 O 1.00
H: 0.9274 0.3273 0.0844  1 O 0.99
H: 0.9317 0.6695 0.0515  1 O 0.99
H: 0.9465 0.6878 0.3023  1 O 0.99
H: 0.9626 0.4483 0.2192  1 O 0.98
H: 0.9751 0.3416 0.5798  1 O 0.99
S: 0.3087 0.4216 0.1223  4 O 1.47-1.53
S: 0.4216 0.3087 0.6223  4 O 1.47-1.53
S: 0.5784 0.6913 0.3777  4 O 1.47-1.53
S: 0.6913 0.5784 0.8777  4 O 1.47-1.53
O: 0.0538 0.5313 0.1143  1 S 1.53, 1 H 1.66
O: 0.0586 0.6848 0.2768  2 H 0.99-1.01
O: 0.0966 0.6837 0.7896  2 H 0.98
O: 0.1147 0.1628 0.3218  2 H 0.97-1.00
O: 0.1239 0.2467 0.9811  2 H 0.98-0.99
O: 0.1260 0.6799 0.4535  2 H 0.99
O: 0.1400 0.7978 0.9296  2 H 0.99-1.00
O: 0.1628 0.1147 0.8218  2 H 0.97-1.00
O: 0.1858 0.3491 0.6357  1 S 1.48
O: 0.2022 0.8600 0.5704  2 H 0.99-1.00
O: 0.2467 0.1239 0.4811  2 H 0.98-0.99
O: 0.3152 0.9414 0.2232  2 H 0.99-1.01
O: 0.3163 0.9034 0.7104  2 H 0.98
O: 0.3201 0.8740 0.0465  2 H 0.99
O: 0.3491 0.1858 0.1357  1 S 1.48
O: 0.4009 0.4212 0.0690  1 S 1.50
O: 0.4113 0.5541 0.1660  1 S 1.47, 1 H 1.57
O: 0.4212 0.4009 0.5690  1 S 1.50
O: 0.4459 0.5887 0.3340  1 S 1.47, 1 H 1.57
O: 0.4687 0.9462 0.3857  1 S 1.53, 1 H 1.66
O: 0.5313 0.0538 0.6143  1 S 1.53, 1 H 1.66
O: 0.5541 0.4113 0.6660  1 S 1.47, 1 H 1.57
O: 0.5788 0.5991 0.4310  1 S 1.50
O: 0.5887 0.4459 0.8340  1 S 1.47, 1 H 1.57
O: 0.5991 0.5788 0.9310  1 S 1.50
O: 0.6509 0.8142 0.8643  1 S 1.48
O: 0.6799 0.1260 0.9535  2 H 0.99
O: 0.6837 0.0966 0.2896  2 H 0.98
O: 0.6848 0.0586 0.7768  2 H 0.99-1.01
O: 0.7533 0.8761 0.5189  2 H 0.98-0.99
O: 0.7978 0.1400 0.4296  2 H 0.99-1.00
O: 0.8142 0.6509 0.3643  1 S 1.48
O: 0.8372 0.8853 0.1782  2 H 0.97-1.00
O: 0.8600 0.2022 0.0704  2 H 0.99-1.00
O: 0.8740 0.3201 0.5465  2 H 0.99
O: 0.8761 0.7533 0.0189  2 H 0.98-0.99
O: 0.8853 0.8372 0.6782  2 H 0.97-1.00
O: 0.9034 0.3163 0.2104  2 H 0.98
O: 0.9414 0.3152 0.7232  2 H 0.99-1.01
O: 0.9462 0.4687 0.8857  1 S 1.53, 1 H 1.66

The mass density comes out at 1.934 g/cm3. The distance to the lowest polymorph of the same formula is 0.057 eV per atom. Its energy relative to the elements is -1.34 eV per atom. For the magnetic moment, the calculation gives 1.00 μB/f.u.


A plane-wave DFT calculation with GGA+U was carried out for a relaxed structure of FeOF.

Cell: 9.5480 3.0670 9.5759 Å, 90.00 90.71 90.00°
Last column: nearest neighbours and their distance in Å.
Sites, in units of the cell vectors:
Fe: 0.0000 0.0000 0.0000  3 O 1.83-1.96
Fe: 0.0062 0.0000 0.5313  3 O 1.91-1.96
Fe: 0.2277 0.5000 0.7739  5 O 2.00
Fe: 0.2353 0.5000 0.3014  3 O 1.94, 2 F 2.15
Fe: 0.4574 0.0000 0.5432  3 O 1.86-1.96
Fe: 0.5071 0.0000 0.0344  3 O 1.93-1.98, 2 F 2.04
Fe: 0.7283 0.5000 0.2757  1 O 1.86, 5 F 2.02-2.06
Fe: 0.7371 0.5000 0.8035  3 O 1.91-1.96, 2 F 2.12
O: 0.0757 0.5000 0.6279  3 Fe 1.91-2.00
O: 0.1329 0.0000 0.3721  3 Fe 1.94-1.96
O: 0.1470 0.0000 0.8795  3 Fe 1.83-2.00
O: 0.3343 0.0000 0.6929  3 Fe 1.86-2.00
O: 0.3918 0.5000 0.4332  3 Fe 1.94-1.96
O: 0.5898 0.5000 0.1375  3 Fe 1.86-1.98
O: 0.6376 0.0000 0.8826  3 Fe 1.93-1.96
O: 0.8912 0.5000 0.9331  3 Fe 1.91-1.96
F: 0.0871 0.5000 0.1260  3 Fe 2.12-2.18
F: 0.3360 0.0000 0.1823  3 Fe 2.15-2.18
F: 0.3941 0.5000 0.9497  2 Fe 2.04
F: 0.5858 0.5000 0.6277  3 Fe 2.12-2.20
F: 0.6464 0.0000 0.3847  2 Fe 2.02
F: 0.8254 0.0000 0.6796  3 Fe 2.12-2.25
F: 0.8375 0.0000 0.1935  2 Fe 2.02
F: 0.8801 0.5000 0.4305  3 Fe 2.06-2.17

The mass density comes out at 4.304 g/cm3. Its energy relative to the elements is -2.03 eV per atom. For the magnetic moment, the calculation gives 5.00 μB/f.u.


A plane-wave DFT calculation with GGA+U was carried out for a relaxed structure of PbWO4.

Cell: 7.9170 5.8435 7.9896 Å, 90.00 105.25 90.00°
Last column: nearest neighbours and their distance in Å.
Sites, in units of the cell vectors:
Pb: 0.1326 0.2473 0.4165  6 O 2.47-2.64
Pb: 0.1326 0.2527 0.9165  6 O 2.47-2.64
Pb: 0.8674 0.7473 0.0835  6 O 2.47-2.64
Pb: 0.8674 0.7527 0.5835  6 O 2.47-2.64
W: 0.3284 0.7496 0.2278  5 O 1.86-1.98
W: 0.3284 0.7504 0.7278  5 O 1.86-1.98
W: 0.6716 0.2496 0.2722  5 O 1.86-1.98
W: 0.6716 0.2504 0.7722  5 O 1.86-1.98
O: 0.1436 0.5275 0.1651  1 W 1.92
O: 0.1436 0.9725 0.6651  1 W 1.92
O: 0.1472 0.5270 0.6587  1 W 1.91
O: 0.1472 0.9730 0.1587  1 W 1.91
O: 0.3360 0.7409 0.9623  1 W 1.86
O: 0.3360 0.7591 0.4623  1 W 1.86
O: 0.4963 0.0066 0.7538  2 W 1.97-1.98
O: 0.4963 0.4934 0.2538  2 W 1.97-1.98
O: 0.5037 0.5066 0.7462  2 W 1.97-1.98
O: 0.5037 0.9934 0.2462  2 W 1.97-1.98
O: 0.6640 0.2409 0.5377  1 W 1.86
O: 0.6640 0.2591 0.0377  1 W 1.86
O: 0.8528 0.0270 0.8413  1 W 1.91
O: 0.8528 0.4730 0.3413  1 W 1.91
O: 0.8564 0.0275 0.3349  1 W 1.92
O: 0.8564 0.4725 0.8349  1 W 1.92

The mass density comes out at 8.476 g/cm3. The distance to the lowest polymorph of the same formula is 0.035 eV per atom. Its energy relative to the elements is -2.02 eV per atom. For the magnetic moment, the calculation gives 0.00 μB/f.u.


Which of these has the highest energy relative to the elements?
CoH12SO10